Entry 1:
UCoB4: optimized geometry, PBE.

## Properties
* SG: No. 55

Cell lengths 3.3624, 5.8844, 11.4126 Å; angles 90.00, 90.00, 90.00 degrees
Atoms (fractional coordinates):
U1 0.0000 0.6265 0.3492
U2 0.0000 0.3735 0.6508
U3 0.0000 0.1265 0.1508
U4 0.0000 0.8735 0.8492
Co1 0.0000 0.6311 0.0865
Co2 0.0000 0.3689 0.9135
Co3 0.0000 0.1311 0.4135
Co4 0.0000 0.8689 0.5865
B1 0.5000 0.7834 0.1874
B2 0.5000 0.2166 0.8126
B3 0.5000 0.2834 0.3126
B4 0.5000 0.7166 0.6874
B5 0.5000 0.8658 0.0344
B6 0.5000 0.1342 0.9656
B7 0.5000 0.3658 0.4656
B8 0.5000 0.6342 0.5344
B9 0.5000 0.8856 0.4539
B10 0.5000 0.1144 0.5461
B11 0.5000 0.3856 0.0461
B12 0.5000 0.6144 0.9539
B13 0.5000 0.9741 0.3077
B14 0.5000 0.0259 0.6923
B15 0.5000 0.4741 0.1923
B16 0.5000 0.5259 0.8077

Entry 2:
TbFeSb3: optimized geometry, PBE.

## Properties
* SG: No. 57

Cell lengths 6.1028, 12.0291, 12.4524 Å; angles 90.00, 90.00, 90.00 degrees
Atoms (fractional coordinates):
Tb1 0.2500 0.5000 0.7012
Tb2 0.7500 0.0000 0.2988
Tb3 0.7500 0.5000 0.2988
Tb4 0.2500 0.0000 0.7012
Tb5 0.2220 0.2500 0.3047
Tb6 0.7780 0.7500 0.6953
Tb7 0.2780 0.7500 0.3047
Tb8 0.7220 0.2500 0.6953
Fe1 0.4624 0.3609 0.1039
Fe2 0.5376 0.8609 0.8961
Fe3 0.0376 0.6391 0.1039
Fe4 0.9624 0.1391 0.8961
Fe5 0.5376 0.6391 0.8961
Fe6 0.4624 0.1391 0.1039
Fe7 0.9624 0.3609 0.8961
Fe8 0.0376 0.8609 0.1039
Sb1 0.2500 0.5000 0.9720
Sb2 0.7500 0.0000 0.0280
Sb3 0.7500 0.5000 0.0280
Sb4 0.2500 0.0000 0.9720
Sb5 0.2336 0.2500 0.7779
Sb6 0.7664 0.7500 0.2221
Sb7 0.2664 0.7500 0.7779
Sb8 0.7336 0.2500 0.2221
Sb9 0.9866 0.3758 0.5034
Sb10 0.0134 0.8758 0.4966
Sb11 0.5134 0.6242 0.5034
Sb12 0.4866 0.1242 0.4966
Sb13 0.0134 0.6242 0.4966
Sb14 0.9866 0.1242 0.5034
Sb15 0.4866 0.3758 0.4966
Sb16 0.5134 0.8758 0.5034
Sb17 0.2500 0.5000 0.2248
Sb18 0.7500 0.0000 0.7752
Sb19 0.7500 0.5000 0.7752
Sb20 0.2500 0.0000 0.2248
Sb21 0.6111 0.2500 0.9416
Sb22 0.3889 0.7500 0.0584
Sb23 0.8889 0.7500 0.9416
Sb24 0.1111 0.2500 0.0584

Entry 3:
RhPb2F7: optimized geometry, PBE.

## Properties
* SG: No. 14

Cell lengths 12.0253, 5.6944, 9.0329 Å; angles 89.34, 90.00, 90.00 degrees
Atoms (fractional coordinates):
Rh1 0.6321 0.3030 0.3123
Rh2 0.1321 0.6970 0.1877
Rh3 0.3679 0.6970 0.6877
Rh4 0.8679 0.3030 0.8123
Pb1 0.9471 0.2328 0.3509
Pb2 0.4471 0.7672 0.1491
Pb3 0.0529 0.7672 0.6491
Pb4 0.5529 0.2328 0.8509
Pb5 0.7951 0.7890 0.0448
Pb6 0.2951 0.2110 0.4552
Pb7 0.2049 0.2110 0.9552
Pb8 0.7049 0.7890 0.5448
F1 0.7767 0.0070 0.7742
F2 0.2767 0.9930 0.7258
F3 0.2233 0.9930 0.2258
F4 0.7233 0.0070 0.2742
F5 0.7707 0.5043 0.3095
F6 0.2707 0.4957 0.1905
F7 0.2293 0.4957 0.6905
F8 0.7293 0.5043 0.8095
F9 0.3356 0.7916 0.4770
F10 0.8356 0.2084 0.0230
F11 0.6644 0.2084 0.5230
F12 0.1644 0.7916 0.9770
F13 0.3940 0.1047 0.9940
F14 0.8940 0.8953 0.5060
F15 0.6060 0.8953 0.0060
F16 0.1060 0.1047 0.4940
F17 0.4890 0.1158 0.3144
F18 0.9890 0.8842 0.1856
F19 0.5110 0.8842 0.6856
F20 0.0110 0.1158 0.8144
F21 0.4471 0.4029 0.6316
F22 0.9471 0.5971 0.8684
F23 0.5529 0.5971 0.3684
F24 0.0529 0.4029 0.1316
F25 0.4018 0.5852 0.8967
F26 0.9018 0.4148 0.6033
F27 0.5982 0.4148 0.1033
F28 0.0982 0.5852 0.3967

no.,calculated total energy (eV/atom),DFT formation energy (eV/f.u.)
1,-8.03,-3.04
2,-5.56,-2.88
3,-4.86,-23.66